Below is Ba5Al2Ge7 after structural relaxation, with properties calculated at the r2SCAN level.

Values from the calculation:
**Raw total energy**: -17.946 eV per atom
**Spin magnetization**: 0.0 μB per formula unit
**Calculated formation energy**: -8.2 eV/f.u.
**Symmetry**: C2/m (12)

Cell: 6.7966 6.7966 18.6096 Å, 98.62 98.62 100.16°
Fractional positions:
Ba  0.0696  0.6245  0.7106
Ba  0.2095  0.7905  0.0000
Ba  0.2513  0.7487  0.5000
Ba  0.2605  0.2605  0.8561
Ba  0.3755  0.9304  0.2894
Ba  0.6245  0.0696  0.7106
Ba  0.7395  0.7395  0.1439
Ba  0.7487  0.2513  0.5000
Ba  0.7905  0.2095  0.0000
Ba  0.9304  0.3755  0.2894
Al  0.2756  0.2756  0.5716
Al  0.4230  0.4230  0.2331
Al  0.5770  0.5770  0.7669
Al  0.7244  0.7244  0.4284
Ge  0.0849  0.0849  0.6519
Ge  0.1413  0.1413  0.1442
Ge  0.1668  0.5371  0.1424
Ge  0.2051  0.2051  0.4337
Ge  0.3193  0.3193  0.0476
Ge  0.4405  0.4405  0.3677
Ge  0.4629  0.8332  0.8576
Ge  0.5371  0.1668  0.1424
Ge  0.5595  0.5595  0.6323
Ge  0.6807  0.6807  0.9524
Ge  0.7949  0.7949  0.5663
Ge  0.8332  0.4629  0.8576
Ge  0.8587  0.8587  0.8558
Ge  0.9151  0.9151  0.3481

Below is SmFe2Si2 after structural relaxation, with properties calculated at the r2SCAN level.

Values from the calculation:
**Raw total energy**: -15.690 eV per atom
**Spin magnetization**: 0.0 μB per formula unit
**Calculated formation energy**: -2.3 eV/f.u.
**Symmetry**: I4/mmm (139)

Cell: 5.5509 5.5509 5.5509 Å, 137.91 137.91 61.04°
Fractional positions:
Sm  0.0000  0.0000  0.0000
Fe  0.2500  0.7500  0.5000
Fe  0.7500  0.2500  0.5000
Si  0.3595  0.3595  0.0000
Si  0.6405  0.6405  0.0000

Which formula does entry 2 have?
SmFe2Si2